This record from Materials Project describes CeInNi after structural relaxation. The functional is meta-GGA r2SCAN.

The calculation puts the calculated total energy at -1.6368 Ry/atom. The space group is P-62m, No. 189. The formation energy is -0.469 eV/atom.

Cell lengths 7.290, 7.290, 4.033 Å; angles 90.00, 90.00, 120.00 degrees
Sites, in units of the cell vectors:
Ni 0.667 0.333 0.500
Ni 0.333 0.667 0.500
Ni 0.000 0.000 0.000
Ce 0.000 0.584 0.000
Ce 0.416 0.416 0.000
Ce 0.584 0.000 0.000
In 0.754 0.754 0.500
In 0.246 0.000 0.500
In 0.000 0.246 0.500